Record 1
Computed, not measured: a geometry-optimized Na6La3NbSi2P4O24 structure at the PBE level of DFT.

POSCAR file:
```
Na6La3NbSi2P4O24
1.0
9.489 0.000 0.000
-4.712 8.300 0.000
-0.158 -0.155 23.182
Na La Nb Si P O
18 9 3 6 12 72
Direct
0.000 0.000 0.000
0.003 0.354 0.264
0.007 0.002 0.502
0.015 0.633 0.745
0.019 0.660 0.420
0.310 0.641 0.842
0.336 0.655 0.343
0.353 0.011 0.588
0.353 0.311 0.087
0.626 0.987 0.746
0.639 0.631 0.257
0.653 0.345 0.668
0.657 0.323 0.179
0.672 0.975 0.428
0.679 0.676 0.917
0.707 0.025 0.076
0.956 0.649 0.080
0.960 0.303 0.585
0.009 0.992 0.154
0.017 0.011 0.857
0.025 0.006 0.355
0.338 0.673 0.188
0.343 0.648 0.686
0.659 0.322 0.331
0.662 0.316 0.821
0.664 0.333 0.521
0.670 0.321 0.010
0.002 0.993 0.646
0.335 0.648 0.497
0.344 0.669 0.986
0.044 0.672 0.593
0.320 0.340 0.592
0.638 0.663 0.088
0.639 0.952 0.592
0.663 0.003 0.926
0.991 0.337 0.427
0.049 0.367 0.085
0.301 0.003 0.747
0.321 0.309 0.248
0.330 0.955 0.082
0.358 0.989 0.433
0.364 0.348 0.932
0.659 0.645 0.419
0.704 0.004 0.256
0.734 0.709 0.753
0.985 0.278 0.746
0.990 0.670 0.256
0.991 0.636 0.924
0.016 0.181 0.423
0.016 0.807 0.919
0.042 0.848 0.593
0.051 0.206 0.079
0.115 0.447 0.144
0.115 0.651 0.653
0.124 0.454 0.750
0.135 0.639 0.260
0.136 0.174 0.590
0.159 0.643 0.931
0.161 0.490 0.037
0.165 0.952 0.076
0.167 0.509 0.439
0.178 0.946 0.425
0.182 0.690 0.542
0.195 0.203 0.924
0.200 0.008 0.692
0.212 0.007 0.801
0.212 0.197 0.296
0.247 0.230 0.188
0.312 0.465 0.540
0.312 0.846 0.749
0.328 0.474 0.257
0.336 0.844 0.032
0.343 0.884 0.139
0.348 0.436 0.651
0.351 0.506 0.929
0.360 0.825 0.434
0.425 0.081 0.489
0.432 0.339 0.991
0.454 0.287 0.584
0.469 0.085 0.382
0.473 0.129 0.078
0.474 0.150 0.745
0.489 0.372 0.884
0.489 0.822 0.931
0.495 0.335 0.253
0.502 0.650 0.436
0.511 0.665 0.035
0.528 0.818 0.540
0.538 0.895 0.651
0.539 0.847 0.259
0.545 0.648 0.148
0.569 0.702 0.751
0.631 0.560 0.360
0.642 0.099 0.870
0.666 0.508 0.082
0.679 0.134 0.579
0.682 0.097 0.986
0.691 0.160 0.256
0.701 0.551 0.464
0.726 0.544 0.744
0.796 0.008 0.199
0.801 0.821 0.420
0.802 0.951 0.922
0.806 0.008 0.309
0.809 0.834 0.082
0.813 0.779 0.811
0.817 0.955 0.598
0.819 0.276 0.742
0.829 0.506 0.253
0.850 0.827 0.703
0.867 0.518 0.582
0.872 0.335 0.080
0.873 0.310 0.480
0.890 0.564 0.980
0.902 0.528 0.871
0.916 0.377 0.368
0.985 0.189 0.801
0.988 0.764 0.311
0.994 0.178 0.693
0.996 0.765 0.200
```

Output
Formation enthalpy at 0 K: -3014.4 meV/atom
Mass density: 3.31 g cm⁻³
Symmetry: No. 1
Total magnetic moment: 0.000 μB/atom

---

Record 2
Computed, not measured: a geometry-optimized Na2CO3 structure at the PBE level of DFT.

POSCAR file:
```
Na2CO3
1.0
18.188 0.000 0.000
0.000 5.301 0.000
-8.430 0.000 17.612
Na C O
48 24 72
Direct
0.056 0.189 0.206
0.056 0.311 0.706
0.083 0.186 0.372
0.083 0.314 0.872
0.085 0.727 0.126
0.085 0.773 0.626
0.109 0.221 0.536
0.109 0.279 0.036
0.227 0.679 0.462
0.227 0.821 0.962
0.250 0.715 0.625
0.250 0.785 0.125
0.251 0.198 0.375
0.251 0.302 0.875
0.277 0.728 0.290
0.277 0.772 0.790
0.391 0.188 0.711
0.391 0.312 0.211
0.417 0.238 0.875
0.417 0.262 0.375
0.417 0.690 0.625
0.417 0.810 0.125
0.443 0.205 0.539
0.443 0.295 0.039
0.557 0.705 0.961
0.557 0.795 0.461
0.583 0.190 0.875
0.583 0.310 0.375
0.583 0.738 0.625
0.583 0.762 0.125
0.609 0.688 0.789
0.609 0.812 0.289
0.723 0.228 0.210
0.723 0.272 0.710
0.749 0.698 0.125
0.749 0.802 0.625
0.750 0.215 0.875
0.750 0.285 0.375
0.773 0.179 0.038
0.773 0.321 0.538
0.891 0.721 0.964
0.891 0.779 0.464
0.915 0.227 0.374
0.915 0.273 0.874
0.917 0.686 0.128
0.917 0.814 0.628
0.944 0.689 0.294
0.944 0.811 0.794
0.055 0.710 0.457
0.055 0.790 0.957
0.113 0.686 0.294
0.113 0.814 0.794
0.223 0.246 0.208
0.223 0.254 0.708
0.278 0.194 0.543
0.278 0.306 0.043
0.390 0.723 0.458
0.390 0.777 0.958
0.444 0.706 0.793
0.444 0.794 0.293
0.556 0.206 0.707
0.556 0.294 0.207
0.610 0.223 0.042
0.610 0.277 0.542
0.722 0.694 0.957
0.722 0.806 0.457
0.777 0.746 0.292
0.777 0.754 0.792
0.887 0.186 0.206
0.887 0.314 0.706
0.945 0.210 0.043
0.945 0.290 0.543
0.014 0.586 0.925
0.014 0.914 0.425
0.029 0.008 0.925
0.029 0.492 0.425
0.047 0.735 0.233
0.047 0.765 0.733
0.120 0.725 0.521
0.120 0.775 0.021
0.140 0.044 0.809
0.140 0.456 0.309
0.153 0.632 0.840
0.153 0.868 0.340
0.185 0.030 0.190
0.185 0.470 0.690
0.194 0.059 0.664
0.194 0.441 0.164
0.212 0.228 0.481
0.212 0.272 0.981
0.290 0.232 0.770
0.290 0.268 0.270
0.312 0.115 0.088
0.312 0.385 0.588
0.312 0.528 0.060
0.312 0.972 0.560
0.352 0.507 0.440
0.352 0.993 0.940
0.361 0.584 0.912
0.361 0.916 0.412
0.378 0.735 0.731
0.378 0.765 0.231
0.456 0.747 0.521
0.456 0.753 0.021
0.476 0.604 0.339
0.476 0.896 0.839
0.481 0.013 0.309
0.481 0.487 0.809
0.519 0.513 0.191
0.519 0.987 0.691
0.524 0.104 0.161
0.524 0.396 0.661
0.544 0.247 0.979
0.544 0.253 0.479
0.622 0.235 0.769
0.622 0.265 0.269
0.639 0.084 0.588
0.639 0.416 0.088
0.648 0.007 0.060
0.648 0.493 0.560
0.688 0.028 0.440
0.688 0.472 0.940
0.688 0.615 0.412
0.688 0.885 0.912
0.710 0.732 0.730
0.710 0.768 0.230
0.788 0.728 0.019
0.788 0.772 0.519
0.806 0.559 0.836
0.806 0.941 0.336
0.815 0.530 0.310
0.815 0.970 0.810
0.847 0.132 0.660
0.847 0.368 0.160
0.860 0.544 0.691
0.860 0.956 0.191
0.880 0.225 0.979
0.880 0.275 0.479
0.953 0.235 0.267
0.953 0.265 0.767
0.971 0.508 0.575
0.971 0.992 0.075
0.986 0.086 0.575
0.986 0.414 0.075
```

Output
Formation enthalpy at 0 K: -2076.0 meV/atom
Mass density: 2.49 g cm⁻³
Symmetry: No. 14

---

Record 3
Computed, not measured: a geometry-optimized KBiO3 structure at the PBE level of DFT.

POSCAR file:
```
KBiO3
1.0
7.103 -5.145 0.000
7.103 5.145 0.000
-7.084 0.000 7.318
K Bi O
6 6 18
Direct
0.000 0.500 0.000
0.012 0.680 0.691
0.320 0.988 0.309
0.500 0.000 0.000
0.680 0.012 0.691
0.988 0.320 0.309
0.159 0.159 0.661
0.341 0.659 0.500
0.500 0.500 0.160
0.500 0.500 0.840
0.659 0.341 0.500
0.841 0.841 0.339
0.005 0.005 0.365
0.048 0.623 0.340
0.286 0.286 0.951
0.287 0.287 0.620
0.333 0.662 0.711
0.338 0.667 0.289
0.360 0.360 0.364
0.360 0.640 0.000
0.377 0.952 0.660
0.623 0.048 0.340
0.640 0.360 0.000
0.640 0.640 0.636
0.662 0.333 0.711
0.667 0.338 0.289
0.713 0.713 0.380
0.714 0.714 0.049
0.952 0.377 0.660
0.995 0.995 0.635
```

Output
Formation enthalpy at 0 K: -1567.0 meV/atom
Mass density: 5.52 g cm⁻³
Symmetry: No. 12